[1]
## Ca11Rh2N10 (PBE)

Data for a relaxed structure of Ca11Rh2N10.

Lattice parameters (Å, degrees): 14.854 14.854 3.690 90.00 90.00 90.00
Sites, in units of the cell vectors:
Ca1 0.527 0.288 0.000
Ca2 0.788 0.973 0.500
Ca3 0.388 0.893 0.500
Ca4 0.212 0.027 0.500
Ca5 0.699 0.699 0.500
Ca6 0.612 0.107 0.500
Ca7 0.393 0.112 0.000
Ca8 0.301 0.301 0.500
Ca9 0.888 0.607 0.000
Ca10 0.473 0.712 0.000
Ca11 0.199 0.801 0.000
Ca12 0.112 0.393 0.000
Ca13 0.893 0.388 0.500
Ca14 0.000 0.000 0.000
Ca15 0.801 0.199 0.000
Ca16 0.973 0.788 0.500
Ca17 0.027 0.212 0.500
Ca18 0.288 0.527 0.000
Ca19 0.500 0.500 0.500
Ca20 0.107 0.612 0.500
Ca21 0.712 0.473 0.000
Ca22 0.607 0.888 0.000
N1 0.965 0.314 0.000
N2 0.814 0.535 0.500
N3 0.110 0.110 0.000
N4 0.610 0.390 0.500
N5 0.465 0.186 0.500
N6 0.133 0.867 0.500
N7 0.035 0.686 0.000
N8 0.074 0.926 0.500
N9 0.186 0.465 0.500
N10 0.535 0.814 0.500
N11 0.890 0.890 0.000
N12 0.367 0.367 0.000
N13 0.314 0.965 0.000
N14 0.633 0.633 0.000
N15 0.426 0.426 0.000
N16 0.390 0.610 0.500
N17 0.686 0.035 0.000
N18 0.574 0.574 0.000
N19 0.926 0.074 0.500
N20 0.867 0.133 0.500
Rh1 0.302 0.698 0.500
Rh2 0.698 0.302 0.500
Rh3 0.198 0.198 0.000
Rh4 0.802 0.802 0.000

Output
E_tot = -5.683 eV per atom
Calculated formation energy = -0.6159 eV per atom
Space-group type = No. 136

---

[2]
## Ca7RhN6 (PBE)

Data for a relaxed structure of Ca7RhN6.

Lattice parameters (Å, degrees): 6.346 9.086 9.086 80.70 69.56 69.56
Sites, in units of the cell vectors:
N1 0.890 0.351 0.649
N2 0.610 0.851 0.149
N3 0.387 0.692 0.927
N4 0.506 0.808 0.573
N5 0.887 0.427 0.192
N6 0.494 0.192 0.427
N7 0.390 0.149 0.851
N8 0.113 0.573 0.808
N9 0.994 0.927 0.692
N10 0.006 0.073 0.308
N11 0.613 0.308 0.073
N12 0.110 0.649 0.351
Ca1 0.722 0.048 0.952
Ca2 0.000 0.349 0.912
Ca3 0.000 0.651 0.088
Ca4 0.261 0.088 0.651
Ca5 0.778 0.548 0.452
Ca6 0.250 0.250 0.250
Ca7 0.222 0.452 0.548
Ca8 0.239 0.849 0.412
Ca9 0.761 0.151 0.588
Ca10 0.750 0.750 0.750
Ca11 0.500 0.412 0.849
Ca12 0.278 0.952 0.048
Ca13 0.500 0.588 0.151
Ca14 0.739 0.912 0.349
Rh1 0.250 0.750 0.750
Rh2 0.750 0.250 0.250

Output
E_tot = -5.708 eV per atom
Calculated formation energy = -0.7610 eV per atom
Space-group type = No. 72

---

[3]
## Ca5Rh2N6 (PBE)

Data for a relaxed structure of Ca5Rh2N6.

Lattice parameters (Å, degrees): 6.032 6.534 12.563 90.00 101.25 122.79
Sites, in units of the cell vectors:
Ca1 0.110 0.797 0.001
Ca2 0.321 0.036 0.726
Ca3 0.000 0.641 0.250
Ca4 0.110 0.313 0.501
Ca5 0.000 0.359 0.750
Ca6 0.890 0.203 0.999
Ca7 0.679 0.964 0.274
Ca8 0.679 0.715 0.774
Ca9 0.890 0.687 0.499
Ca10 0.321 0.285 0.226
N1 0.586 0.257 0.591
N2 0.414 0.743 0.409
N3 0.414 0.671 0.909
N4 0.086 0.012 0.371
N5 0.914 0.988 0.629
N6 0.914 0.926 0.129
N7 0.726 0.334 0.355
N8 0.586 0.329 0.091
N9 0.086 0.074 0.871
N10 0.274 0.666 0.645
N11 0.274 0.608 0.145
N12 0.726 0.392 0.855
Rh1 0.462 0.154 0.444
Rh2 0.462 0.308 0.944
Rh3 0.538 0.846 0.556
Rh4 0.538 0.692 0.056

Output
E_tot = -6.176 eV per atom
Calculated formation energy = -0.5908 eV per atom
Space-group type = No. 15

---

[4]
## Ca11Ru2N10 (PBE)

Data for a relaxed structure of Ca11Ru2N10.

Lattice parameters (Å, degrees): 15.192 15.192 3.598 90.00 90.00 90.00
Sites, in units of the cell vectors:
N1 0.315 0.964 0.000
N2 0.574 0.574 0.000
N3 0.464 0.185 0.500
N4 0.036 0.685 0.000
N5 0.891 0.891 0.000
N6 0.391 0.609 0.500
N7 0.633 0.633 0.000
N8 0.133 0.867 0.500
N9 0.367 0.367 0.000
N10 0.926 0.074 0.500
N11 0.964 0.315 0.000
N12 0.685 0.036 0.000
N13 0.867 0.133 0.500
N14 0.609 0.391 0.500
N15 0.185 0.464 0.500
N16 0.109 0.109 0.000
N17 0.074 0.926 0.500
N18 0.536 0.815 0.500
N19 0.815 0.536 0.500
N20 0.426 0.426 0.000
Ca1 0.890 0.391 0.500
Ca2 0.500 0.500 0.500
Ca3 0.217 0.015 0.500
Ca4 0.985 0.783 0.500
Ca5 0.000 0.000 0.000
Ca6 0.391 0.890 0.500
Ca7 0.699 0.699 0.500
Ca8 0.109 0.390 0.000
Ca9 0.485 0.717 0.000
Ca10 0.015 0.217 0.500
Ca11 0.283 0.515 0.000
Ca12 0.891 0.610 0.000
Ca13 0.301 0.301 0.500
Ca14 0.610 0.891 0.000
Ca15 0.609 0.110 0.500
Ca16 0.199 0.801 0.000
Ca17 0.783 0.985 0.500
Ca18 0.390 0.109 0.000
Ca19 0.110 0.609 0.500
Ca20 0.801 0.199 0.000
Ca21 0.515 0.283 0.000
Ca22 0.717 0.485 0.000
Ru1 0.309 0.691 0.500
Ru2 0.191 0.191 0.000
Ru3 0.691 0.309 0.500
Ru4 0.809 0.809 0.000

Output
E_tot = -5.783 eV per atom
Calculated formation energy = -0.5496 eV per atom
Space-group type = No. 136

---

[5]
## CaRuN2 (PBE)

Data for a relaxed structure of CaRuN2.

Lattice parameters (Å, degrees): 5.472 5.472 5.472 34.27 34.27 34.27
Sites, in units of the cell vectors:
N1 0.767 0.767 0.767
N2 0.233 0.233 0.233
Ru1 0.500 0.500 0.500
Ca1 0.000 0.000 0.000

Output
E_tot = -7.217 eV per atom
Calculated formation energy = -0.4096 eV per atom
Space-group type = No. 166
Energy relative to the lowest polymorph listed for this composition = 0.000 eV/atom

---

[6]
## Ca2RuN3 (PBE)

Data for a relaxed structure of Ca2RuN3.

Lattice parameters (Å, degrees): 6.075 10.790 11.848 90.00 90.00 27.36
Sites, in units of the cell vectors:
Ca1 0.000 0.454 0.644
Ca2 0.000 0.363 0.076
Ca3 0.000 0.137 0.576
Ca4 0.000 0.046 0.144
Ca5 0.000 0.546 0.356
Ca6 0.000 0.863 0.424
Ca7 0.000 0.637 0.924
Ca8 0.000 0.954 0.856
Ru1 0.000 0.747 0.157
Ru2 0.000 0.247 0.343
Ru3 0.000 0.253 0.843
Ru4 0.000 0.753 0.657
N1 0.000 0.571 0.137
N2 0.500 0.949 0.750
N3 0.000 0.429 0.863
N4 0.000 0.929 0.637
N5 0.500 0.551 0.250
N6 0.500 0.449 0.750
N7 0.500 0.051 0.250
N8 0.000 0.155 0.974
N9 0.000 0.071 0.363
N10 0.000 0.345 0.474
N11 0.000 0.845 0.026
N12 0.000 0.655 0.526

Output
E_tot = -6.799 eV per atom
Calculated formation energy = -0.5968 eV per atom
Space-group type = No. 64

---

[7]
## CaRu2N2 (PBE)

Data for a relaxed structure of CaRu2N2.

Lattice parameters (Å, degrees): 3.208 3.220 7.103 90.00 90.84 120.12
Sites, in units of the cell vectors:
Ca1 0.000 0.000 0.500
N1 0.320 0.660 0.267
N2 0.680 0.340 0.733
Ru1 0.646 0.323 0.162
Ru2 0.354 0.677 0.838

Output
E_tot = -7.610 eV per atom
Calculated formation energy = -0.3094 eV per atom
Space-group type = No. 12

---

[8]
## Ca3Ru3N5 (PBE)

Data for a relaxed structure of Ca3Ru3N5.

Lattice parameters (Å, degrees): 5.962 6.926 8.314 105.56 106.55 94.96
Sites, in units of the cell vectors:
N1 0.144 0.299 0.503
N2 0.856 0.701 0.497
N3 0.962 0.092 0.802
N4 0.690 0.229 0.079
N5 0.735 0.537 0.897
N6 0.265 0.463 0.103
N7 0.038 0.908 0.198
N8 0.380 0.905 0.611
N9 0.620 0.095 0.389
N10 0.310 0.771 0.921
Ru1 0.921 0.317 0.981
Ru2 0.699 0.939 0.560
Ru3 0.301 0.061 0.440
Ru4 0.079 0.683 0.019
Ru5 0.872 0.141 0.281
Ru6 0.128 0.859 0.719
Ca1 0.644 0.662 0.186
Ca2 0.186 0.580 0.382
Ca3 0.814 0.420 0.618
Ca4 0.334 0.122 0.116
Ca5 0.666 0.878 0.884
Ca6 0.356 0.338 0.814

Output
E_tot = -7.153 eV per atom
Calculated formation energy = -0.4511 eV per atom
Space-group type = No. 2

---

Copy entry 2 word for word.
## Ca7RhN6 (PBE)

Data for a relaxed structure of Ca7RhN6.

Lattice parameters (Å, degrees): 6.346 9.086 9.086 80.70 69.56 69.56
Sites, in units of the cell vectors:
N1 0.890 0.351 0.649
N2 0.610 0.851 0.149
N3 0.387 0.692 0.927
N4 0.506 0.808 0.573
N5 0.887 0.427 0.192
N6 0.494 0.192 0.427
N7 0.390 0.149 0.851
N8 0.113 0.573 0.808
N9 0.994 0.927 0.692
N10 0.006 0.073 0.308
N11 0.613 0.308 0.073
N12 0.110 0.649 0.351
Ca1 0.722 0.048 0.952
Ca2 0.000 0.349 0.912
Ca3 0.000 0.651 0.088
Ca4 0.261 0.088 0.651
Ca5 0.778 0.548 0.452
Ca6 0.250 0.250 0.250
Ca7 0.222 0.452 0.548
Ca8 0.239 0.849 0.412
Ca9 0.761 0.151 0.588
Ca10 0.750 0.750 0.750
Ca11 0.500 0.412 0.849
Ca12 0.278 0.952 0.048
Ca13 0.500 0.588 0.151
Ca14 0.739 0.912 0.349
Rh1 0.250 0.750 0.750
Rh2 0.750 0.250 0.250

Output
E_tot = -5.708 eV per atom
Calculated formation energy = -0.7610 eV per atom
Space-group type = No. 72

---

What did the sixth record say?
## Ca2RuN3 (PBE)

Data for a relaxed structure of Ca2RuN3.

Lattice parameters (Å, degrees): 6.075 10.790 11.848 90.00 90.00 27.36
Sites, in units of the cell vectors:
Ca1 0.000 0.454 0.644
Ca2 0.000 0.363 0.076
Ca3 0.000 0.137 0.576
Ca4 0.000 0.046 0.144
Ca5 0.000 0.546 0.356
Ca6 0.000 0.863 0.424
Ca7 0.000 0.637 0.924
Ca8 0.000 0.954 0.856
Ru1 0.000 0.747 0.157
Ru2 0.000 0.247 0.343
Ru3 0.000 0.253 0.843
Ru4 0.000 0.753 0.657
N1 0.000 0.571 0.137
N2 0.500 0.949 0.750
N3 0.000 0.429 0.863
N4 0.000 0.929 0.637
N5 0.500 0.551 0.250
N6 0.500 0.449 0.750
N7 0.500 0.051 0.250
N8 0.000 0.155 0.974
N9 0.000 0.071 0.363
N10 0.000 0.345 0.474
N11 0.000 0.845 0.026
N12 0.000 0.655 0.526

Output
E_tot = -6.799 eV per atom
Calculated formation energy = -0.5968 eV per atom
Space-group type = No. 64

---

calculated formation energy of number 5 (CaRuN2)? -0.4096 eV per atom